(1)
The following is a r²SCAN calculation of a relaxed Yb2Br2O crystal, from Materials Project.

Output
total magnetic moment	0.000	μB per formula unit
total energy	-22.45	eV per atom
formation energy from the elements	-648	kJ/mol of formula units

Cell: 4.013 4.013 13.097 Å, 90.00 90.00 90.00°
Sites, in units of the cell vectors:
Yb: 0.000 0.000 0.152
Yb: 0.000 0.000 0.848
Br: 0.000 0.000 0.347
Br: 0.000 0.000 0.653
O: 0.000 0.000 0.000


(2)
The following is a r²SCAN calculation of a relaxed Li8ZrO6 crystal, from Materials Project.

Output
total magnetic moment	0.000	μB per formula unit
total energy	-7.61	eV per atom
formation energy from the elements	-3520	kJ/mol of formula units

Cell: 6.018 6.018 6.018 Å, 53.88 53.88 53.88°
Sites, in units of the cell vectors:
Li: 0.005 0.396 0.732
Li: 0.155 0.155 0.155
Li: 0.268 0.995 0.604
Li: 0.396 0.732 0.005
Li: 0.604 0.268 0.995
Li: 0.732 0.005 0.396
Li: 0.845 0.845 0.845
Li: 0.995 0.604 0.268
Zr: 0.500 0.500 0.500
O: 0.112 0.736 0.407
O: 0.264 0.593 0.888
O: 0.407 0.112 0.736
O: 0.593 0.888 0.264
O: 0.736 0.407 0.112
O: 0.888 0.264 0.593


(3)
The following is a r²SCAN calculation of a relaxed U2PbS5 crystal, from Materials Project.

Output
total magnetic moment	4.000	μB per formula unit
total energy	-33.58	eV per atom
formation energy from the elements	-1184	kJ/mol of formula units

Cell: 8.320 7.583 11.798 Å, 90.00 90.30 90.00°
Sites, in units of the cell vectors:
U: 0.002 0.016 0.321
U: 0.002 0.484 0.821
U: 0.245 0.577 0.493
U: 0.245 0.923 0.993
U: 0.755 0.077 0.007
U: 0.755 0.423 0.507
U: 0.998 0.516 0.179
U: 0.998 0.984 0.679
Pb: 0.476 0.005 0.681
Pb: 0.476 0.495 0.181
Pb: 0.524 0.505 0.819
Pb: 0.524 0.995 0.319
S: 0.046 0.158 0.100
S: 0.046 0.342 0.600
S: 0.214 0.544 0.000
S: 0.214 0.956 0.500
S: 0.221 0.160 0.815
S: 0.221 0.340 0.315
S: 0.227 0.698 0.718
S: 0.227 0.802 0.218
S: 0.464 0.157 0.088
S: 0.464 0.343 0.588
S: 0.536 0.657 0.412
S: 0.536 0.843 0.912
S: 0.773 0.198 0.782
S: 0.773 0.302 0.282
S: 0.779 0.660 0.685
S: 0.779 0.840 0.185
S: 0.786 0.044 0.500
S: 0.786 0.456 0.000
S: 0.954 0.658 0.400
S: 0.954 0.842 0.900


(4)
The following is a r²SCAN calculation of a relaxed BaSb2 crystal, from Materials Project.

Output
total magnetic moment	0.000	μB per formula unit
total energy	-26.81	eV per atom
formation energy from the elements	-244	kJ/mol of formula units

Cell: 11.922 4.429 12.694 Å, 90.00 101.41 90.00°
Sites, in units of the cell vectors:
Ba: 0.058 0.250 0.267
Ba: 0.290 0.750 0.057
Ba: 0.375 0.250 0.583
Ba: 0.625 0.750 0.417
Ba: 0.710 0.250 0.943
Ba: 0.942 0.750 0.733
Sb: 0.055 0.250 0.954
Sb: 0.069 0.250 0.552
Sb: 0.253 0.750 0.767
Sb: 0.296 0.750 0.357
Sb: 0.396 0.250 0.865
Sb: 0.413 0.250 0.271
Sb: 0.587 0.750 0.729
Sb: 0.604 0.750 0.135
Sb: 0.704 0.250 0.643
Sb: 0.747 0.250 0.233
Sb: 0.931 0.750 0.448
Sb: 0.945 0.750 0.046


(5)
The following is a r²SCAN calculation of a relaxed V9Ga4Fe3 crystal, from Materials Project.

Output
total magnetic moment	0.740	μB per formula unit
total energy	-13.68	eV per atom
formation energy from the elements	-295	kJ/mol of formula units

Cell: 4.698 4.660 9.480 Å, 90.00 90.01 90.00°
Sites, in units of the cell vectors:
V: 0.000 0.000 0.000
V: 0.001 0.000 0.500
V: 0.250 0.500 0.123
V: 0.500 0.247 0.873
V: 0.500 0.753 0.873
V: 0.505 0.249 0.376
V: 0.505 0.751 0.376
V: 0.750 0.500 0.123
V: 0.761 0.500 0.622
Ga: 0.003 0.500 0.873
Ga: 0.004 0.500 0.373
Ga: 0.497 0.000 0.624
Ga: 0.500 0.000 0.124
Fe: 0.000 0.000 0.747
Fe: 0.253 0.500 0.621
Fe: 0.999 0.000 0.251


(6)
The following is a r²SCAN calculation of a relaxed Li4NpO5 crystal, from Materials Project.

Output
total magnetic moment	1.000	μB per formula unit
total energy	-14.94	eV per atom
formation energy from the elements	-2599	kJ/mol of formula units

Cell: 5.183 5.183 5.183 Å, 100.37 100.37 129.79°
Sites, in units of the cell vectors:
Li: 0.086 0.312 0.398
Li: 0.312 0.914 0.227
Li: 0.688 0.086 0.773
Li: 0.914 0.688 0.602
Np: 0.500 0.500 0.000
O: 0.000 0.000 0.000
O: 0.213 0.588 0.801
O: 0.412 0.213 0.624
O: 0.588 0.787 0.376
O: 0.787 0.412 0.199


(7)
The following is a r²SCAN calculation of a relaxed PaGaPt2 crystal, from Materials Project.

Output
total magnetic moment	0.002	μB per formula unit
total energy	-48.66	eV per atom
formation energy from the elements	-324	kJ/mol of formula units

Cell: 4.749 4.749 4.749 Å, 60.00 60.00 60.00°
Sites, in units of the cell vectors:
Pa: 0.000 0.000 0.000
Ga: 0.500 0.500 0.500
Pt: 0.250 0.250 0.250
Pt: 0.750 0.750 0.750


(8)
The following is a r²SCAN calculation of a relaxed BaP2 crystal, from Materials Project.

Output
total magnetic moment	0.000	μB per formula unit
total energy	-15.76	eV per atom
formation energy from the elements	-269	kJ/mol of formula units

Cell: 6.443 12.307 7.764 Å, 90.00 126.64 90.00°
Sites, in units of the cell vectors:
Ba: 0.000 0.000 0.000
Ba: 0.000 0.500 0.500
Ba: 0.272 0.160 0.667
Ba: 0.272 0.340 0.167
Ba: 0.728 0.660 0.833
Ba: 0.728 0.840 0.333
P: 0.180 0.703 0.348
P: 0.180 0.797 0.848
P: 0.317 0.630 0.966
P: 0.317 0.870 0.466
P: 0.432 0.610 0.300
P: 0.432 0.890 0.800
P: 0.568 0.110 0.200
P: 0.568 0.390 0.700
P: 0.683 0.130 0.534
P: 0.683 0.370 0.034
P: 0.820 0.203 0.152
P: 0.820 0.297 0.652